[1]
Computed, not measured: a relaxed structure of Al21Pd8 at the r²SCAN level of DFT.

abc: 12.974 12.974 10.678
angles: 90.00 90.00 90.00
Space group I4_1/a (No. 88, origin choice 2)
Inequivalent atoms, fractional coordinates:
Al: 0.000 0.250 0.125 x4
Al: 0.009 0.032 0.145 x16
Al: 0.054 0.339 0.725 x16
Al: 0.071 0.344 0.353 x16
Al: 0.086 0.002 0.427 x16
Al: 0.211 0.468 0.149 x16
Pd: 0.093 0.380 0.969 x16
Pd: 0.100 0.037 0.670 x16

Output
The calculation puts the total magnetization at 0.0 μB/f.u. As for the crystal system: tetragonal. The total DFT energy (no corrections) is -1365.93 eV for the cell shown.

=====

[2]
Computed, not measured: a relaxed structure of Al2Pd at the r²SCAN level of DFT.

abc: 5.899 5.899 5.899
angles: 90.00 90.00 90.00
Space group Fm-3m (No. 225)
Inequivalent atoms, fractional coordinates:
Al: 0.250 0.250 0.250 x8
Pd: 0.000 0.000 0.000 x4

Output
The calculation puts the total magnetization at 0.0 μB/f.u. As for the crystal system: cubic. The total DFT energy (no corrections) is -153.43 eV for the cell shown.

=====

[3]
Computed, not measured: a relaxed structure of Sc6Al16Pd7 at the r²SCAN level of DFT.

abc: 12.412 12.412 12.412
angles: 90.00 90.00 90.00
Space group Fm-3m (No. 225)
Inequivalent atoms, fractional coordinates:
Sc: 0.000 0.000 0.192 x24
Al: 0.120 0.120 0.380 x32
Al: 0.166 0.166 0.166 x32
Pd: 0.000 0.000 0.500 x4
Pd: 0.000 0.250 0.250 x24

Output
The calculation puts the total magnetization at 0.0 μB/f.u. As for the crystal system: cubic. The total DFT energy (no corrections) is -1436.41 eV for the cell shown.

=====

[4]
Computed, not measured: a relaxed structure of Al3SiPd4 at the r²SCAN level of DFT.

abc: 6.8933 6.8933 8.2995
angles: 90.00 90.00 120.00
Space group R3 (No. 146, hexagonal axes)
Inequivalent atoms, fractional coordinates:
Al: 0.0406 0.7746 0.0000 x9
Si: 0.0000 0.0000 0.5387 x3
Pd: 0.0000 0.0000 0.2403 x3
Pd: 0.1036 0.4020 0.4286 x9

Output
The calculation puts the total magnetization at 0.0 μB/f.u. As for the crystal system: trigonal. The total DFT energy (no corrections) is -382.21 eV for the cell shown.

=====

[5]
Computed, not measured: a relaxed structure of Tm4Al24Pd9 at the r²SCAN level of DFT.

abc: 7.480 7.480 13.042
angles: 79.05 84.53 60.14
Space group P-1 (No. 2)
Inequivalent atoms, fractional coordinates:
Tm: 0.002 0.232 0.308 x2
Tm: 0.332 0.562 0.308 x2
Al: 0.000 0.313 0.060 x2
Al: 0.001 0.852 0.445 x2
Al: 0.007 0.057 0.828 x2
Al: 0.130 0.308 0.685 x2
Al: 0.332 0.183 0.454 x2
Al: 0.333 0.021 0.938 x2
Al: 0.333 0.646 0.060 x2
Al: 0.334 0.482 0.556 x2
Al: 0.335 0.383 0.828 x2
Al: 0.336 0.897 0.683 x2
Al: 0.340 0.269 0.171 x2
Al: 0.458 0.897 0.316 x2
Pd: 0.000 0.500 0.500 x1
Pd: 0.008 0.612 0.139 x2
Pd: 0.325 0.953 0.138 x2
Pd: 0.328 0.828 0.500 x2
Pd: 0.333 0.705 0.861 x2

Output
The calculation puts the total magnetization at 0.0 μB/f.u. As for the crystal system: triclinic. The total DFT energy (no corrections) is -536.44 eV for the cell shown.

=====

[6]
Computed, not measured: a relaxed structure of TmAlPd at the r²SCAN level of DFT.

abc: 6.795 4.384 7.698
angles: 90.00 90.00 90.00
Space group Pnma (No. 62)
Inequivalent atoms, fractional coordinates:
Tm: 0.032 0.250 0.180 x4
Al: 0.143 0.250 0.561 x4
Pd: 0.231 0.750 0.380 x4

Output
The calculation puts the total magnetization at 0.0 μB/f.u. As for the crystal system: orthorhombic. The total DFT energy (no corrections) is -270.63 eV for the cell shown.

=====

[7]
Computed, not measured: a relaxed structure of Y2Al9Pd3 at the r²SCAN level of DFT.

abc: 13.152 7.676 9.392
angles: 90.00 90.00 90.00
Space group Cmcm (No. 63)
Inequivalent atoms, fractional coordinates:
Y: 0.161 0.168 0.250 x8
Al: 0.000 0.132 0.750 x4
Al: 0.000 0.333 0.051 x8
Al: 0.103 0.443 0.750 x8
Al: 0.167 0.168 0.575 x16
Pd: 0.000 0.000 0.000 x4
Pd: 0.172 0.500 0.000 x8

Output
The calculation puts the total magnetization at 0.6 μB/f.u. As for the crystal system: orthorhombic. The total DFT energy (no corrections) is -721.32 eV for the cell shown.

=====

[8]
Computed, not measured: a relaxed structure of PmYAl2 at the r²SCAN level of DFT.

abc: 7.290 7.290 7.290
angles: 90.00 90.00 90.00
Space group Fm-3m (No. 225)
Inequivalent atoms, fractional coordinates:
Pm: 0.000 0.000 0.000 x4
Y: 0.000 0.000 0.500 x4
Al: 0.250 0.250 0.250 x8

Output
The calculation puts the total magnetization at 0.0 μB/f.u. As for the crystal system: cubic. The total DFT energy (no corrections) is -260.08 eV for the cell shown.

=====

[9]
Computed, not measured: a relaxed structure of Pm2AlZn at the r²SCAN level of DFT.

abc: 7.369 7.369 7.369
angles: 90.00 90.00 90.00
Space group Fm-3m (No. 225)
Inequivalent atoms, fractional coordinates:
Pm: 0.250 0.250 0.250 x8
Al: 0.000 0.000 0.000 x4
Zn: 0.000 0.000 0.500 x4

Output
The calculation puts the total magnetization at 0.0 μB/f.u. As for the crystal system: cubic. The total DFT energy (no corrections) is -305.04 eV for the cell shown.

=====

[10]
Computed, not measured: a relaxed structure of Pr3Al at the r²SCAN level of DFT.

abc: 7.1898 7.1898 5.4016
angles: 90.00 90.00 120.00
Space group P6_3/mmc (No. 194)
Inequivalent atoms, fractional coordinates:
Pr: 0.1795 0.3591 0.2500 x6
Al: 0.3333 0.6667 0.7500 x2

Output
The calculation puts the total magnetization at 0.5 μB/f.u. As for the crystal system: hexagonal. The total DFT energy (no corrections) is -191.59 eV for the cell shown. The value obtained for the offset from the most stable computed form is 0.000 eV per atom.

=====

[11]
Computed, not measured: a relaxed structure of Pr3Al at the r²SCAN level of DFT.

abc: 4.927 4.927 4.927
angles: 90.00 90.00 90.00
Space group Pm-3m (No. 221)
Inequivalent atoms, fractional coordinates:
Pr: 0.000 0.000 0.500 x3
Al: 0.500 0.500 0.500 x1

Output
The calculation puts the total magnetization at 0.0 μB/f.u. As for the crystal system: cubic. The total DFT energy (no corrections) is -95.69 eV for the cell shown. The value obtained for the offset from the most stable computed form is 0.025 eV per atom.

=====

[12]
Computed, not measured: a relaxed structure of PrAl at the r²SCAN level of DFT.

abc: 9.326 7.709 5.737
angles: 90.00 90.00 90.00
Space group Cmcm (No. 63)
Inequivalent atoms, fractional coordinates:
Pr: 0.179 0.161 0.250 x8
Al: 0.000 0.198 0.750 x4
Al: 0.000 0.500 0.000 x4

Output
The calculation puts the total magnetization at 0.0 μB/f.u. As for the crystal system: orthorhombic. The total DFT energy (no corrections) is -296.15 eV for the cell shown.

=====

Please write out number 8 again, unchanged.
Computed, not measured: a relaxed structure of PmYAl2 at the r²SCAN level of DFT.

abc: 7.290 7.290 7.290
angles: 90.00 90.00 90.00
Space group Fm-3m (No. 225)
Inequivalent atoms, fractional coordinates:
Pm: 0.000 0.000 0.000 x4
Y: 0.000 0.000 0.500 x4
Al: 0.250 0.250 0.250 x8

Output
The calculation puts the total magnetization at 0.0 μB/f.u. As for the crystal system: cubic. The total DFT energy (no corrections) is -260.08 eV for the cell shown.